14
Lattice="2.8413 1.6404 4.7986 -2.8413 1.6404 4.7986 0.0000 -3.2808 4.7986" Properties=species:S:1:pos:R:3 comment="Li5CuF8 | the Materials Project | r2SCAN | relaxed" delta_e_f_kcal_per_mol_atoms=-63.8 polymorph_energy_ev_per_fu=0.00 energy_ev_per_fu=-86.52 pbc="T T T"
Li -1.4206 -0.8202 4.7986
Li 0.0000 0.0000 2.0241
Li -1.4206 0.8202 9.5971
Li 0.0000 1.6404 4.7986
Li 0.0000 0.0000 12.3716
Cu 0.0000 0.0000 7.1979
F 0.0000 0.0000 3.8269
F 0.0000 -1.5273 6.0779
F -1.3227 0.7636 6.0779
F -1.3227 -0.7636 8.3178
F 1.3227 0.7636 6.0779
F 1.3227 -0.7636 8.3178
F 0.0000 1.5273 8.3178
F 0.0000 0.0000 10.5688

---

30
Lattice="-6.2551 6.2551 2.4780 6.2551 -6.2551 2.4780 6.2551 6.2551 -2.4780" Properties=species:S:1:pos:R:3 comment="Nb4Co4Si7 | the Materials Project | r2SCAN | relaxed" delta_e_f_kcal_per_mol_atoms=-14.6 energy_ev_per_fu=-222.79 pbc="T T T"
Nb 2.4000 0.0000 0.0000
Nb 10.1102 0.0000 0.0000
Nb 0.0000 2.4000 0.0000
Nb 4.5769 4.5769 0.0000
Nb 1.6781 -1.6781 2.4780
Nb -1.6781 1.6781 2.4780
Nb 1.6781 1.6781 2.4780
Nb 0.0000 10.1102 0.0000
Co 4.3972 -1.8578 1.2390
Co 8.1129 -1.8578 1.2390
Co 4.3972 1.8578 1.2390
Co 8.1129 1.8578 1.2390
Co -1.8578 4.3972 1.2390
Co 1.8578 4.3972 1.2390
Co -1.8578 8.1129 1.2390
Co 1.8578 8.1129 1.2390
Si 5.0734 0.0000 0.0000
Si 7.4368 0.0000 0.0000
Si 6.2551 2.5052 0.0000
Si 2.6212 2.6212 0.0000
Si 3.6339 -3.6339 2.4780
Si 0.0000 0.0000 1.2419
Si 0.0000 5.0734 0.0000
Si 2.5052 6.2551 0.0000
Si 3.7499 0.0000 2.4780
Si 0.0000 7.4368 0.0000
Si 0.0000 0.0000 3.7142
Si -3.6339 3.6339 2.4780
Si 3.6339 3.6339 2.4780
Si 0.0000 3.7499 2.4780

---

8
Lattice="6.2712 0.0000 0.0000 -3.1356 5.4311 0.0000 0.0000 0.0000 5.0522" Properties=species:S:1:pos:R:3 comment="Mg7Al | the Materials Project | r2SCAN | relaxed" delta_e_f_kcal_per_mol_atoms=0.6 energy_ev_per_fu=-35.72 pbc="T T T"
Mg 0.0000 0.0000 0.0000
Mg -1.5515 2.7250 0.0000
Mg 1.5660 0.9041 2.5261
Mg 1.5515 2.7250 0.0000
Mg 0.0000 5.4122 0.0000
Mg 4.7053 0.9041 2.5261
Mg 3.1356 3.6228 2.5261
Al 0.0000 3.6207 2.5261

---

28
Lattice="6.7761 0.0000 0.0000 0.0000 9.5581 0.0000 -3.6386 0.0000 12.1404" Properties=species:S:1:pos:R:3 comment="K2CoCl4 | the Materials Project | r2SCAN | relaxed" delta_e_f_kcal_per_mol_atoms=-38.6 energy_ev_per_fu=-61.61 pbc="T T T"
K -0.5857 0.9115 4.0416
K -2.4049 3.8676 10.1118
K 0.0306 6.1659 6.1684
K 1.8499 8.1713 0.0982
K 1.2877 1.3868 12.0422
K 3.1070 3.3922 5.9720
K 5.5425 5.6905 2.0286
K 3.7232 8.6466 8.0988
Co 0.1038 1.4064 8.2568
Co 1.9231 3.3726 2.1866
Co 1.2144 6.1855 9.9539
Co 3.0337 8.1517 3.8837
Cl 0.9791 1.5435 1.2306
Cl -0.8402 3.2356 7.3008
Cl -0.9470 6.5879 9.4616
Cl 0.8722 7.7493 3.3914
Cl -1.1118 0.9526 10.1194
Cl 0.7075 3.8264 4.0492
Cl 1.7367 5.1448 0.8168
Cl -0.0825 9.1924 6.8870
Cl 3.2201 0.3658 5.2534
Cl 1.4008 4.4133 11.3237
Cl 2.4301 5.7317 8.0912
Cl 4.2493 8.6055 2.0210
Cl 2.2653 1.8088 8.7490
Cl 4.0846 2.9703 2.6788
Cl 3.9778 6.3225 4.8396
Cl 2.1585 8.0146 10.9098

---

Please write out number 1 again, unchanged.
14
Lattice="2.8413 1.6404 4.7986 -2.8413 1.6404 4.7986 0.0000 -3.2808 4.7986" Properties=species:S:1:pos:R:3 comment="Li5CuF8 | the Materials Project | r2SCAN | relaxed" delta_e_f_kcal_per_mol_atoms=-63.8 polymorph_energy_ev_per_fu=0.00 energy_ev_per_fu=-86.52 pbc="T T T"
Li -1.4206 -0.8202 4.7986
Li 0.0000 0.0000 2.0241
Li -1.4206 0.8202 9.5971
Li 0.0000 1.6404 4.7986
Li 0.0000 0.0000 12.3716
Cu 0.0000 0.0000 7.1979
F 0.0000 0.0000 3.8269
F 0.0000 -1.5273 6.0779
F -1.3227 0.7636 6.0779
F -1.3227 -0.7636 8.3178
F 1.3227 0.7636 6.0779
F 1.3227 -0.7636 8.3178
F 0.0000 1.5273 8.3178
F 0.0000 0.0000 10.5688